First-principles (PBE with a Hubbard U) data for a geometry-optimized Li32Ti13Cr3O48 structure, as listed in the Materials Project.

Cell lengths 5.0928, 8.8259, 19.6229 Å; angles 98.30, 94.89, 89.77 degrees
Positions (direct):
Li 0.9871 0.1684 0.2494
Li 0.8750 0.3763 0.3751
Li 0.7496 0.2503 0.0001
Li 0.7421 0.9193 0.9998
Li 0.9892 0.1700 0.7496
Li 0.7565 0.5787 0.4996
Li 0.8740 0.3764 0.8748
Li 0.7562 0.2483 0.5005
Li 0.7398 0.9218 0.5003
Li 0.6250 0.1250 0.1251
Li 0.7601 0.5800 0.9995
Li 0.5110 0.3328 0.2510
Li 0.6253 0.1257 0.6248
Li 0.4999 0.0002 0.2502
Li 0.4911 0.6684 0.2504
Li 0.5075 0.3296 0.7497
Li 0.3746 0.8747 0.3750
Li 0.5001 0.9999 0.7499
Li 0.2454 0.7513 0.9998
Li 0.4932 0.6706 0.7504
Li 0.2411 0.4200 0.0001
Li 0.3742 0.8745 0.8752
Li 0.2582 0.0810 0.5002
Li 0.2497 0.7488 0.4995
Li 0.1251 0.6250 0.1250
Li 0.2406 0.4209 0.5000
Li 0.0100 0.8313 0.2498
Li 0.2609 0.0795 0.0002
Li 0.1258 0.6238 0.6251
Li 0.0026 0.4990 0.2501
Li 0.0102 0.8300 0.7503
Li 0.9992 0.4999 0.7500
Ti 0.8723 0.7042 0.3747
Ti 0.8776 0.0402 0.3749
Ti 0.8834 0.0407 0.8770
Ti 0.6264 0.7912 0.1252
Ti 0.6241 0.4589 0.1252
Ti 0.6230 0.7906 0.6249
Ti 0.6243 0.4578 0.6262
Ti 0.3745 0.2108 0.3753
Ti 0.3741 0.5405 0.8730
Ti 0.3782 0.2083 0.8746
Ti 0.1236 0.9587 0.1252
Ti 0.1272 0.2912 0.1252
Ti 0.1186 0.9588 0.6236
Cr 0.8690 0.7095 0.8753
Cr 0.3749 0.5432 0.3751
Cr 0.1283 0.2905 0.6246
O 0.9623 0.1066 0.0683
O 0.9290 0.7844 0.0685
O 0.9277 0.4278 0.0671
O 0.9605 0.1069 0.5682
O 0.8214 0.9657 0.1817
O 0.8230 0.3224 0.1828
O 0.9286 0.7853 0.5681
O 0.9308 0.4259 0.5681
O 0.7883 0.6433 0.1818
O 0.7136 0.8558 0.3182
O 0.8216 0.9655 0.6818
O 0.8260 0.3206 0.6820
O 0.6809 0.5338 0.3181
O 0.6770 0.1776 0.3172
O 0.7878 0.6429 0.6819
O 0.7149 0.8513 0.8192
O 0.4624 0.6067 0.0681
O 0.5643 0.7117 0.4309
O 0.5718 0.0736 0.4329
O 0.6746 0.5330 0.8180
O 0.6757 0.1762 0.8170
O 0.4277 0.9278 0.0673
O 0.4290 0.2843 0.0684
O 0.5376 0.3968 0.4309
O 0.4652 0.6063 0.5684
O 0.5811 0.7169 0.9310
O 0.5721 0.0720 0.9327
O 0.3225 0.8222 0.1829
O 0.3214 0.4658 0.1816
O 0.4275 0.9279 0.5671
O 0.4224 0.2837 0.5687
O 0.5347 0.3938 0.9317
O 0.2873 0.1436 0.1818
O 0.2141 0.3613 0.3194
O 0.3233 0.8237 0.6829
O 0.3217 0.4654 0.6815
O 0.1835 0.6751 0.3181
O 0.1789 0.0358 0.3183
O 0.2862 0.1473 0.6806
O 0.2119 0.3569 0.8180
O 0.0699 0.5720 0.4330
O 0.0713 0.2156 0.4316
O 0.1739 0.6801 0.8184
O 0.1783 0.0344 0.8181
O 0.0352 0.8930 0.4317
O 0.0693 0.5746 0.9316
O 0.0703 0.2151 0.9317
O 0.0414 0.8950 0.9321

Calculated values
SG = No. 1
formation enthalpy at 0 K = -2838.7 meV per atom
corrected total energy (MP2020 scheme) = -0.538 Ry/atom
volume = 9.06 Å³ per atom
M_tot = 6.0 μB/cell